(1)
DFT (GGA-PBE) results for an optimized crystal structure of PdPb2Br6.

Cell lengths 9.800, 6.933, 8.383 Å; angles 90.00, 90.71, 90.00 degrees
Atoms (fractional coordinates):
Pd 0.000 0.000 0.000
Pd 0.000 0.500 0.500
Pb 0.283 0.042 0.621
Pb 0.283 0.458 0.121
Pb 0.717 0.542 0.879
Pb 0.717 0.958 0.379
Br 0.065 0.204 0.355
Br 0.065 0.296 0.855
Br 0.236 0.627 0.473
Br 0.236 0.873 0.973
Br 0.443 0.156 0.332
Br 0.443 0.344 0.832
Br 0.557 0.656 0.168
Br 0.557 0.844 0.668
Br 0.764 0.127 0.027
Br 0.764 0.373 0.527
Br 0.935 0.704 0.145
Br 0.935 0.796 0.645

Energy relative to the elements: -1.07 eV/atom
Electronic total energy: -3.210 eV per atom



(2)
DFT (GGA-PBE) results for an optimized crystal structure of RbPb2Br5.

Cell lengths 9.785, 9.785, 9.785 Å; angles 128.05, 128.05, 76.54 degrees
Atoms (fractional coordinates):
Rb 0.250 0.250 0.000
Rb 0.750 0.750 0.000
Pb 0.167 0.667 0.834
Pb 0.333 0.167 0.500
Pb 0.667 0.833 0.500
Pb 0.833 0.333 0.166
Br 0.000 0.000 0.000
Br 0.025 0.215 0.500
Br 0.215 0.715 0.190
Br 0.285 0.475 0.500
Br 0.475 0.975 0.190
Br 0.500 0.500 0.000
Br 0.525 0.025 0.810
Br 0.715 0.525 0.500
Br 0.785 0.285 0.810
Br 0.975 0.785 0.500

Energy relative to the elements: -1.48 eV/atom
Electronic total energy: -3.225 eV per atom



(3)
DFT (GGA-PBE) results for an optimized crystal structure of TaPbBr.

Cell lengths 6.787, 6.787, 6.787 Å; angles 90.00, 90.00, 90.00 degrees
Atoms (fractional coordinates):
Ta 0.000 0.000 0.000
Ta 0.000 0.500 0.500
Ta 0.500 0.000 0.500
Ta 0.500 0.500 0.000
Pb 0.000 0.000 0.500
Pb 0.000 0.500 0.000
Pb 0.500 0.000 0.000
Pb 0.500 0.500 0.500
Br 0.250 0.250 0.750
Br 0.250 0.750 0.250
Br 0.750 0.250 0.250
Br 0.750 0.750 0.750

Energy relative to the elements: 1.16 eV/atom
Electronic total energy: -4.399 eV per atom



(4)
DFT (GGA-PBE) results for an optimized crystal structure of TlPb2Br5.

Cell lengths 9.405, 8.548, 13.397 Å; angles 90.00, 90.03, 90.00 degrees
Atoms (fractional coordinates):
Tl 0.007 0.019 0.176
Tl 0.007 0.481 0.676
Tl 0.993 0.519 0.324
Tl 0.993 0.981 0.824
Pb 0.250 0.075 0.493
Pb 0.250 0.425 0.993
Pb 0.496 0.014 0.180
Pb 0.496 0.486 0.680
Pb 0.504 0.514 0.320
Pb 0.504 0.986 0.820
Pb 0.750 0.575 0.007
Pb 0.750 0.925 0.507
Br 0.040 0.664 0.088
Br 0.040 0.836 0.588
Br 0.274 0.191 0.718
Br 0.274 0.309 0.218
Br 0.280 0.652 0.814
Br 0.280 0.848 0.314
Br 0.281 0.043 0.998
Br 0.281 0.457 0.498
Br 0.456 0.664 0.101
Br 0.456 0.836 0.601
Br 0.544 0.164 0.399
Br 0.544 0.336 0.899
Br 0.719 0.543 0.502
Br 0.719 0.957 0.002
Br 0.720 0.152 0.686
Br 0.720 0.348 0.186
Br 0.726 0.691 0.782
Br 0.726 0.809 0.282
Br 0.960 0.164 0.412
Br 0.960 0.336 0.912

Energy relative to the elements: -1.25 eV/atom
Electronic total energy: -3.165 eV per atom